A relaxed structure of K2CeS3O13. Source: Materials Project, functional PBE-GGA.

Structure (CIF):
```
data_K2CeS3O13
_chemical_formula_sum 'K16 Ce8 S24 O104'
_symmetry_space_group_name_H-M 'C 1 2 1'
_symmetry_Int_Tables_number 5
_cell_length_a 21.199
_cell_length_b 7.273
_cell_length_c 18.311
_cell_angle_alpha 90.00
_cell_angle_beta 122.77
_cell_angle_gamma 90.00
loop_
_symmetry_equiv_pos_as_xyz
'x,y,z'
'-x,y,-z'
'x+1/2,y+1/2,z'
'-x+1/2,y+1/2,-z'
loop_
_atom_site_label
_atom_site_fract_x
_atom_site_fract_y
_atom_site_fract_z
K1 0.000 0.000 0.000
K2 0.000 0.383 0.500
K3 0.140 0.308 0.291
K4 0.218 0.822 0.838
K5 0.226 0.294 0.729
Ce1 0.082 0.525 0.915
Ce2 0.121 0.804 0.420
S1 0.044 0.495 0.724
S2 0.070 0.855 0.227
S3 0.102 0.479 0.096
S4 0.160 0.810 0.613
S5 0.175 0.315 0.499
S6 0.240 0.823 0.055
O1 0.003 0.779 0.847
O2 0.004 0.407 0.763
O3 0.006 0.639 0.340
O4 0.036 0.996 0.430
O5 0.038 0.428 0.105
O6 0.055 0.976 0.283
O7 0.066 0.363 0.682
O8 0.082 0.211 0.897
O9 0.084 0.649 0.041
O10 0.088 0.742 0.529
O11 0.107 0.957 0.193
O12 0.110 0.586 0.801
O13 0.113 0.332 0.046
O14 0.116 0.701 0.287
O15 0.144 0.312 0.554
O16 0.144 0.957 0.654
O17 0.149 0.154 0.439
O18 0.152 0.487 0.445
O19 0.171 0.500 0.182
O20 0.175 0.756 0.968
O21 0.197 0.367 0.961
O22 0.198 0.654 0.671
O23 0.205 0.876 0.575
O24 0.219 0.993 0.079
O25 0.233 0.179 0.879
O26 0.241 0.814 0.446
```

**VASP energy**: -6.17 eV/atom
**Formation enthalpy at 0 K**: -2.18 eV per atom
**Calculated volume**: 15.618 A^3/atom


A relaxed structure of KSrCeSbO6. Source: Materials Project, functional PBE-GGA.

Structure (CIF):
```
data_KSrCeSbO6
_chemical_formula_sum 'K4 Sr4 Ce4 Sb4 O24'
_symmetry_space_group_name_H-M 'F -4 3 m'
_symmetry_Int_Tables_number 216
_symmetry_space_group_name_Hall 'F -4 2 3'
_cell_length_a 8.464
_cell_length_b 8.464
_cell_length_c 8.464
_cell_angle_alpha 90.00
_cell_angle_beta 90.00
_cell_angle_gamma 90.00
loop_
_atom_site_label
_atom_site_fract_x
_atom_site_fract_y
_atom_site_fract_z
K1 0.000 0.000 0.000
Sr1 0.000 0.000 0.500
Ce1 0.250 0.250 0.250
Sb1 0.250 0.250 0.750
O1 0.013 0.250 0.750
```

**VASP energy**: -6.68 eV/atom
**Formation enthalpy at 0 K**: -2.84 eV per atom
**Calculated volume**: 15.161 A^3/atom